P.
Entry from the Materials Project database: a relaxed CuMoO4 crystal (PBE+U).

Lattice parameters (Å, degrees): 6.6955 8.8886 12.1339 90.00 90.18 90.00
Space group P2_1/c (No. 14)
Symmetry-distinct sites (fractional):
Cu (0.1272, 0.0452, 0.3858) [4 per cell]
Cu (0.2842, 0.6602, 0.3795) [4 per cell]
Mo (0.0959, 0.5978, 0.6409) [4 per cell]
Mo (0.3951, 0.0502, 0.6428) [4 per cell]
O (0.0142, 0.5879, 0.3737) [4 per cell]
O (0.0840, 0.2387, 0.8885) [4 per cell]
O (0.1497, 0.0018, 0.5851) [4 per cell]
O (0.1854, 0.6264, 0.7852) [4 per cell]
O (0.2930, 0.6218, 0.5444) [4 per cell]
O (0.3735, 0.0150, 0.7863) [4 per cell]
O (0.4103, 0.0740, 0.4086) [4 per cell]
O (0.4591, 0.2454, 0.6243) [4 per cell]



Q.
Entry from the Materials Project database: a relaxed CuMoO4 crystal (PBE+U).

Lattice parameters (Å, degrees): 6.3582 8.1734 9.9292 104.35 103.18 94.72
Space group P-1 (No. 2)
Symmetry-distinct sites (fractional):
Cu (0.0725, 0.4723, 0.1659) [2 per cell]
Cu (0.2205, 0.2332, 0.9347) [2 per cell]
Cu (0.4039, 0.8040, 0.4942) [2 per cell]
Mo (0.0846, 0.1212, 0.3890) [2 per cell]
Mo (0.2850, 0.8773, 0.1497) [2 per cell]
Mo (0.4300, 0.4603, 0.7241) [2 per cell]
O (0.0046, 0.0750, 0.7730) [2 per cell]
O (0.0469, 0.2835, 0.3074) [2 per cell]
O (0.0579, 0.7032, 0.0232) [2 per cell]
O (0.1386, 0.8887, 0.5252) [2 per cell]
O (0.1949, 0.4579, 0.7961) [2 per cell]
O (0.2910, 0.6544, 0.3024) [2 per cell]
O (0.2941, 0.0228, 0.0501) [2 per cell]
O (0.3237, 0.2437, 0.5601) [2 per cell]
O (0.3414, 0.4129, 0.1148) [2 per cell]
O (0.3746, 0.0309, 0.3464) [2 per cell]
O (0.3938, 0.6028, 0.6203) [2 per cell]
O (0.4724, 0.2232, 0.8592) [2 per cell]



Of them, Q has the highest stability.



P.
Entry from the Materials Project database: a relaxed LiFeP4O12 crystal (PBE+U).

Lattice parameters (Å, degrees): 9.4191 14.2135 7.7452 90.00 103.64 90.00
Space group Cc (No. 9)
Symmetry-distinct sites (fractional):
Li (0.0000, 0.1543, 0.0000) [4 per cell]
Fe (0.3422, 0.1304, 0.0351) [4 per cell]
P (0.1976, 0.0744, 0.6155) [4 per cell]
P (0.2421, 0.3314, 0.1237) [4 per cell]
P (0.4272, 0.3281, 0.8811) [4 per cell]
P (0.4576, 0.0789, 0.4590) [4 per cell]
O (0.0562, 0.0996, 0.4679) [4 per cell]
O (0.0957, 0.3915, 0.1124) [4 per cell]
O (0.1960, 0.2284, 0.0859) [4 per cell]
O (0.1969, 0.1241, 0.7868) [4 per cell]
O (0.2078, 0.0320, 0.1162) [4 per cell]
O (0.2919, 0.3713, 0.9503) [4 per cell]
O (0.3262, 0.1195, 0.5362) [4 per cell]
O (0.3496, 0.3548, 0.2896) [4 per cell]
O (0.4007, 0.3373, 0.6865) [4 per cell]
O (0.4530, 0.0272, 0.9542) [4 per cell]
O (0.4609, 0.1305, 0.2903) [4 per cell]
O (0.4614, 0.2318, 0.9687) [4 per cell]



Q.
Entry from the Materials Project database: a relaxed LiFeP4O12 crystal (PBE+U).

Lattice parameters (Å, degrees): 7.5165 12.9566 11.6605 90.00 125.50 90.00
Space group P2_1/c (No. 14)
Symmetry-distinct sites (fractional):
Li (0.0688, 0.2214, 0.0345) [4 per cell]
Fe (0.4885, 0.7325, 0.5224) [4 per cell]
P (0.0631, 0.1152, 0.2630) [4 per cell]
P (0.1595, 0.6065, 0.7477) [4 per cell]
P (0.3162, 0.6338, 0.2173) [4 per cell]
P (0.4221, 0.0925, 0.7278) [4 per cell]
O (0.0431, 0.1432, 0.8847) [4 per cell]
O (0.0666, 0.6335, 0.3920) [4 per cell]
O (0.0694, 0.6391, 0.1714) [4 per cell]
O (0.1187, 0.5039, 0.8066) [4 per cell]
O (0.2744, 0.6773, 0.8743) [4 per cell]
O (0.2765, 0.1744, 0.3515) [4 per cell]
O (0.3049, 0.1687, 0.6118) [4 per cell]
O (0.3195, 0.5201, 0.1651) [4 per cell]
O (0.3239, 0.7109, 0.1243) [4 per cell]
O (0.3308, 0.5688, 0.7169) [4 per cell]
O (0.4273, 0.1116, 0.8586) [4 per cell]
O (0.4764, 0.6416, 0.3765) [4 per cell]



Of them, P has the highest stability.